An optimized crystal structure of FeP2O7, computed with PBE with a Hubbard U.

Structure (POSCAR):
```
FeP2O7
1.0
6.9846 0.0000 0.0000
0.0000 8.2507 0.0000
-3.0537 0.0000 9.0355
Fe P O
4 8 28
direct
0.2232 0.2309 0.0069
0.2232 0.2691 0.5069
0.7768 0.7309 0.4931
0.7768 0.7691 0.9931
0.0356 0.5833 0.2942
0.0356 0.9167 0.7942
0.4318 0.0328 0.7954
0.4318 0.4672 0.2954
0.5682 0.5328 0.7046
0.5682 0.9672 0.2046
0.9644 0.0833 0.2058
0.9644 0.4167 0.7058
0.0063 0.2192 0.1092
0.0063 0.2808 0.6092
0.0248 0.0847 0.8596
0.0248 0.4153 0.3596
0.1024 0.0921 0.3664
0.1024 0.4079 0.8664
0.2648 0.6051 0.2930
0.2648 0.8949 0.7930
0.3666 0.0562 0.1523
0.3666 0.4438 0.6523
0.3921 0.0990 0.6391
0.3921 0.4010 0.1391
0.4198 0.1698 0.9013
0.4198 0.3302 0.4013
0.5802 0.6698 0.5987
0.5802 0.8302 0.0987
0.6079 0.5990 0.8609
0.6079 0.9010 0.3609
0.6334 0.5562 0.3477
0.6334 0.9438 0.8477
0.7352 0.1051 0.2070
0.7352 0.3949 0.7070
0.8976 0.5921 0.1336
0.8976 0.9079 0.6336
0.9752 0.5847 0.6404
0.9752 0.9153 0.1404
0.9937 0.7192 0.3908
0.9937 0.7808 0.8908
```

Summary:
Energy relative to the lowest polymorph listed for this composition = 21 meV/atom
Energy of formation = -2162 kJ/mol of formula units
Space-group type = P2_1/c, No. 14